# Ho2Cu4Br13N3 | the Materials Project | PBE | optimized geometry
# E_form in meV/atom: -125
# Total moment in μB per atom: 0.5455
data_Ho2Cu4Br13N3
_chemical_formula_sum 'Ho4 Cu8 Br26 N6'
_symmetry_space_group_name_H-M 'P n -3'
_symmetry_Int_Tables_number 201
_cell_length_a 11.0226
_cell_length_b 11.0226
_cell_length_c 11.0226
_cell_angle_alpha 90.00
_cell_angle_beta 90.00
_cell_angle_gamma 90.00
loop_
_symmetry_equiv_pos_as_xyz
'x,y,z'
'-x,-y,-z'
'-x+1/2,-y+1/2,z'
'x+1/2,y+1/2,-z'
'x,-y+1/2,-z+1/2'
'-x,y+1/2,z+1/2'
'-x+1/2,y,-z+1/2'
'x+1/2,-y,z+1/2'
'z,x,y'
'-z,-x,-y'
'z,-x+1/2,-y+1/2'
'-z,x+1/2,y+1/2'
'-z+1/2,x,-y+1/2'
'z+1/2,-x,y+1/2'
'-z+1/2,-x+1/2,y'
'z+1/2,x+1/2,-y'
'y,z,x'
'-y,-z,-x'
'-y+1/2,z,-x+1/2'
'y+1/2,-z,x+1/2'
'-y+1/2,-z+1/2,x'
'y+1/2,z+1/2,-x'
'y,-z+1/2,-x+1/2'
'-y,z+1/2,x+1/2'
loop_
_atom_site_label
_atom_site_type_symbol
_atom_site_fract_x
_atom_site_fract_y
_atom_site_fract_z
_atom_site_occupancy
Ho1 Ho 0.0000 0.0000 0.0000 1
Cu1 Cu 0.1193 0.1193 0.3807 1
Br1 Br 0.0247 0.2496 0.5279 1
Br2 Br 0.2500 0.2500 0.2500 1
N1 N 0.2500 0.2500 0.7500 1